SrCaSn after structural relaxation, computed with r2SCAN.

a b c (Å): 8.469 5.171 9.627
angles (deg): 90.00 90.00 90.00
Element x y z (fractional)
Sr 0.022 0.250 0.182
Sr 0.478 0.750 0.682
Sr 0.522 0.250 0.318
Sr 0.978 0.750 0.818
Ca 0.149 0.250 0.570
Ca 0.351 0.750 0.070
Ca 0.649 0.250 0.930
Ca 0.851 0.750 0.430
Sn 0.235 0.750 0.391
Sn 0.265 0.250 0.891
Sn 0.735 0.750 0.109
Sn 0.765 0.250 0.609

ΔE_f, eV/atom: -0.792
Symmetry: Pnma, No. 62
DFT total energy, eV/cell: -197.220